[1]
# PBE-GGA Mn3GeC, relaxed
# Total energy (eV per atom): -8.351
# Size of the total moment (μB/atom): 1.03
# ΔH_f (0 K) (kJ/mol of formula units): -40
data_Mn3GeC
_space_group_name_H-M_alt 'I 4/m c m'
_space_group_IT_number 140
_space_group_name_Hall '-I 4 2c'
_cell_length_a 5.280
_cell_length_b 5.280
_cell_length_c 8.064
_cell_angle_alpha 90.00
_cell_angle_beta 90.00
_cell_angle_gamma 90.00
loop_
_atom_site_label
_atom_site_type_symbol
_atom_site_fract_x
_atom_site_fract_y
_atom_site_fract_z
Mn1 Mn 0.000 0.000 0.250
Mn2 Mn 0.187 0.313 0.000
Ge1 Ge 0.000 0.500 0.250
C1 C 0.000 0.000 0.000



[2]
# PBE-GGA Al5S8, relaxed
# Total energy (eV per atom): -4.930
# ΔH_f (0 K) (kJ/mol of formula units): -1572
data_Al5S8
_space_group_name_H-M_alt 'F -4 3 m'
_space_group_IT_number 216
_space_group_name_Hall 'F -4 2 3'
_cell_length_a 9.944
_cell_length_b 9.944
_cell_length_c 9.944
_cell_angle_alpha 90.00
_cell_angle_beta 90.00
_cell_angle_gamma 90.00
loop_
_atom_site_label
_atom_site_type_symbol
_atom_site_fract_x
_atom_site_fract_y
_atom_site_fract_z
Al1 Al 0.000 0.000 0.000
Al2 Al 0.117 0.117 0.617
S1 S 0.121 0.121 0.379
S2 S 0.134 0.134 0.866